A relaxed Ir3W crystal, computed with PBE-GGA.

Geometry as POSCAR:
```
Ir3W
1.0
-2.478 2.222 4.444
-2.996 -1.294 -4.492
-0.703 -4.061 1.639
Ir W
6 2
direct
0.667 0.833 0.750
0.333 0.167 0.250
0.833 0.167 0.250
0.167 0.333 0.750
0.167 0.833 0.750
0.833 0.667 0.250
0.667 0.333 0.750
0.333 0.667 0.250
```

## Properties
total DFT energy (no corrections): -10.2285 eV/atom
symmetry: No. 194